Record 1
# K4Sb2O3, relaxed, DFT PBE-GGA
data_K4Sb2O3
_chemical_formula_sum 'K8 Sb4 O6'
_cell_length_a 6.3697
_cell_length_b 6.3697
_cell_length_c 14.5847
_cell_angle_alpha 90.00
_cell_angle_beta 90.00
_cell_angle_gamma 120.00
_symmetry_space_group_name_H-M 'P 63 m c'
_symmetry_Int_Tables_number 186
_symmetry_space_group_name_Hall 'P 6c -2c'
loop_
_atom_site_label
_atom_site_type_symbol
_atom_site_fract_x
_atom_site_fract_y
_atom_site_fract_z
K1 K 0.0000 0.0000 0.0000
K2 K 0.0000 0.0000 0.2359
K3 K 0.3333 0.6667 0.1267
K4 K 0.3333 0.6667 0.7883
Sb1 Sb 0.3333 0.6667 0.3732
Sb2 Sb 0.3333 0.6667 0.5628
O1 O 0.1780 0.3560 0.6232
# - V: 256.2 Å³/f.u.
# - Total moment: 0.000 μB per formula unit
# - E (MP2020): -4.49 eV per atom
# - E_form: -1.4298 eV per atom



Record 2
# K3SbO4, relaxed, DFT PBE-GGA
data_K3SbO4
_chemical_formula_sum 'K6 Sb2 O8'
_cell_length_a 6.636
_cell_length_b 7.477
_cell_length_c 5.780
_cell_angle_alpha 90.00
_cell_angle_beta 108.48
_cell_angle_gamma 90.00
_symmetry_space_group_name_H-M 'P 1 2/c 1'
_symmetry_Int_Tables_number 13
_symmetry_space_group_name_Hall '-P 2yc'
loop_
_atom_site_label
_atom_site_type_symbol
_atom_site_fract_x
_atom_site_fract_y
_atom_site_fract_z
K1 K 0.000 0.109 0.250
K2 K 0.000 0.375 0.750
K3 K 0.500 0.389 0.250
Sb1 Sb 0.500 0.113 0.750
O1 O 0.291 0.296 0.572
O2 O 0.331 0.087 0.006
# - V: 136.0 Å³/f.u.
# - E (MP2020): -5.29 eV per atom
# - E_form: -1.8853 eV per atom



Record 3
# K3Sb5O14, relaxed, DFT PBE-GGA
data_K3Sb5O14
_chemical_formula_sum 'K12 Sb20 O56'
_cell_length_a 7.276
_cell_length_b 24.692
_cell_length_c 7.458
_cell_angle_alpha 90.00
_cell_angle_beta 90.00
_cell_angle_gamma 90.00
_symmetry_space_group_name_H-M 'P b a m'
_symmetry_Int_Tables_number 55
_symmetry_space_group_name_Hall '-P 2 2ab'
loop_
_atom_site_label
_atom_site_type_symbol
_atom_site_fract_x
_atom_site_fract_y
_atom_site_fract_z
K1 K 0.103 0.117 0.000
K2 K 0.126 0.206 0.500
K3 K 0.222 0.485 0.000
Sb1 Sb 0.082 0.943 0.500
Sb2 Sb 0.093 0.562 0.500
Sb3 Sb 0.110 0.355 0.236
Sb4 Sb 0.175 0.744 0.000
O1 O 0.000 0.000 0.321
O2 O 0.028 0.357 0.500
O3 O 0.046 0.574 0.244
O4 O 0.065 0.218 0.000
O5 O 0.122 0.685 0.185
O6 O 0.161 0.094 0.500
O7 O 0.161 0.482 0.500
O8 O 0.161 0.896 0.302
O9 O 0.183 0.381 0.000
O10 O 0.239 0.788 0.226
# - V: 335.0 Å³/f.u.
# - Total moment: 0.002 μB per formula unit
# - E (MP2020): -6.21 eV per atom
# - E_form: -1.9750 eV per atom



Record 4
# K3Sb5O14, relaxed, DFT PBE-GGA
data_K3Sb5O14
_chemical_formula_sum 'K12 Sb20 O56'
_cell_length_a 7.278
_cell_length_b 24.690
_cell_length_c 7.461
_cell_angle_alpha 90.00
_cell_angle_beta 90.00
_cell_angle_gamma 90.00
_symmetry_space_group_name_H-M 'P b a 2'
_symmetry_Int_Tables_number 32
_symmetry_space_group_name_Hall 'P 2 -2ab'
loop_
_atom_site_label
_atom_site_type_symbol
_atom_site_fract_x
_atom_site_fract_y
_atom_site_fract_z
K1 K 0.104 0.117 0.000
K2 K 0.116 0.206 0.515
K3 K 0.223 0.485 0.041
Sb1 Sb 0.083 0.943 0.523
Sb2 Sb 0.094 0.562 0.524
Sb3 Sb 0.109 0.355 0.788
Sb4 Sb 0.110 0.355 0.259
Sb5 Sb 0.175 0.744 0.024
O1 O 0.000 0.000 0.344
O2 O 0.000 0.000 0.703
O3 O 0.027 0.357 0.523
O4 O 0.047 0.574 0.267
O5 O 0.047 0.574 0.780
O6 O 0.065 0.218 0.026
O7 O 0.122 0.685 0.208
O8 O 0.122 0.685 0.839
O9 O 0.160 0.482 0.523
O10 O 0.161 0.094 0.526
O11 O 0.161 0.895 0.719
O12 O 0.162 0.897 0.324
O13 O 0.182 0.381 0.023
O14 O 0.238 0.789 0.250
O15 O 0.239 0.788 0.799
# - V: 335.2 Å³/f.u.
# - Total moment: 0.001 μB per formula unit
# - E (MP2020): -6.21 eV per atom
# - E_form: -1.9749 eV per atom



Record 5
# KSb5O13, relaxed, DFT PBE-GGA
data_KSb5O13
_chemical_formula_sum 'K2 Sb10 O26'
_cell_length_a 5.622
_cell_length_b 17.074
_cell_length_c 5.663
_cell_angle_alpha 90.00
_cell_angle_beta 107.30
_cell_angle_gamma 90.00
_symmetry_space_group_name_H-M 'P 1 21/m 1'
_symmetry_Int_Tables_number 11
_symmetry_space_group_name_Hall '-P 2yb'
loop_
_atom_site_label
_atom_site_type_symbol
_atom_site_fract_x
_atom_site_fract_y
_atom_site_fract_z
K1 K 0.094 0.250 0.343
Sb1 Sb 0.000 0.000 0.500
Sb2 Sb 0.234 0.638 0.271
Sb3 Sb 0.386 0.078 0.114
O1 O 0.016 0.613 0.485
O2 O 0.069 0.132 0.022
O3 O 0.180 0.750 0.316
O4 O 0.226 0.510 0.275
O5 O 0.311 0.000 0.811
O6 O 0.445 0.651 0.053
O7 O 0.472 0.134 0.428
# - V: 259.5 Å³/f.u.
# - E (MP2020): -6.42 eV per atom
# - E_form: -1.8906 eV per atom



Record 6
# KSb5O13, relaxed, DFT PBE-GGA
data_KSb5O13
_chemical_formula_sum 'K4 Sb20 O52'
_cell_length_a 17.062
_cell_length_b 9.089
_cell_length_c 6.691
_cell_angle_alpha 90.00
_cell_angle_beta 90.00
_cell_angle_gamma 90.00
_symmetry_space_group_name_H-M 'A m a 2'
_symmetry_Int_Tables_number 40
_symmetry_space_group_name_Hall 'A 2 -2a'
loop_
_atom_site_label
_atom_site_type_symbol
_atom_site_fract_x
_atom_site_fract_y
_atom_site_fract_z
K1 K 0.250 0.126 0.000
Sb1 Sb 0.000 0.000 0.971
Sb2 Sb 0.078 0.386 0.972
Sb3 Sb 0.138 0.268 0.473
O1 O 0.000 0.000 0.282
O2 O 0.000 0.000 0.661
O3 O 0.010 0.275 0.472
O4 O 0.113 0.485 0.472
O5 O 0.132 0.273 0.176
O6 O 0.134 0.271 0.771
O7 O 0.151 0.054 0.470
O8 O 0.250 0.318 0.469
# - V: 259.4 Å³/f.u.
# - Total moment: 0.000 μB per formula unit
# - E (MP2020): -6.42 eV per atom
# - E_form: -1.8908 eV per atom



Record 7
# KSiSbO5, relaxed, DFT PBE-GGA
data_KSiSbO5
_chemical_formula_sum 'K8 Si8 Sb8 O40'
_cell_length_a 13.210
_cell_length_b 6.568
_cell_length_c 10.790
_cell_angle_alpha 90.00
_cell_angle_beta 90.00
_cell_angle_gamma 90.00
_symmetry_space_group_name_H-M 'P n a 21'
_symmetry_Int_Tables_number 33
_symmetry_space_group_name_Hall 'P 2c -2n'
loop_
_atom_site_label
_atom_site_type_symbol
_atom_site_fract_x
_atom_site_fract_y
_atom_site_fract_z
K1 K 0.107 0.197 0.000
K2 K 0.119 0.775 0.744
Si1 Si 0.000 0.328 0.687
Si2 Si 0.181 0.003 0.438
Sb1 Sb 0.119 0.500 0.438
Sb2 Sb 0.248 0.753 0.187
O1 O 0.010 0.528 0.313
O2 O 0.013 0.488 0.571
O3 O 0.099 0.818 0.168
O4 O 0.102 0.186 0.706
O5 O 0.108 0.199 0.411
O6 O 0.109 0.805 0.469
O7 O 0.226 0.479 0.568
O8 O 0.229 0.533 0.313
O9 O 0.241 0.458 0.823
O10 O 0.241 0.541 0.056
# - V: 117.0 Å³/f.u.
# - Total moment: 0.000 μB per formula unit
# - E (MP2020): -6.97 eV per atom
# - E_form: -2.5401 eV per atom



Record 8
# KSrTbSbO6, relaxed, DFT PBE-GGA
data_KSrTbSbO6
_chemical_formula_sum 'K4 Sr4 Tb4 Sb4 O24'
_cell_length_a 8.468
_cell_length_b 8.468
_cell_length_c 8.468
_cell_angle_alpha 90.00
_cell_angle_beta 90.00
_cell_angle_gamma 90.00
_symmetry_space_group_name_H-M 'F -4 3 m'
_symmetry_Int_Tables_number 216
_symmetry_space_group_name_Hall 'F -4 2 3'
loop_
_atom_site_label
_atom_site_type_symbol
_atom_site_fract_x
_atom_site_fract_y
_atom_site_fract_z
K1 K 0.000 0.000 0.000
Sr1 Sr 0.000 0.000 0.500
Tb1 Tb 0.250 0.250 0.750
Sb1 Sb 0.250 0.250 0.250
O1 O 0.014 0.250 0.250
# - V: 151.8 Å³/f.u.
# - Energy relative to the lowest polymorph listed for this composition: 11 meV per atom
# - E (MP2020): -6.77 eV per atom
# - E_form: -2.6497 eV per atom



Repeat the second record exactly.
# K3SbO4, relaxed, DFT PBE-GGA
data_K3SbO4
_chemical_formula_sum 'K6 Sb2 O8'
_cell_length_a 6.636
_cell_length_b 7.477
_cell_length_c 5.780
_cell_angle_alpha 90.00
_cell_angle_beta 108.48
_cell_angle_gamma 90.00
_symmetry_space_group_name_H-M 'P 1 2/c 1'
_symmetry_Int_Tables_number 13
_symmetry_space_group_name_Hall '-P 2yc'
loop_
_atom_site_label
_atom_site_type_symbol
_atom_site_fract_x
_atom_site_fract_y
_atom_site_fract_z
K1 K 0.000 0.109 0.250
K2 K 0.000 0.375 0.750
K3 K 0.500 0.389 0.250
Sb1 Sb 0.500 0.113 0.750
O1 O 0.291 0.296 0.572
O2 O 0.331 0.087 0.006
# - V: 136.0 Å³/f.u.
# - E (MP2020): -5.29 eV per atom
# - E_form: -1.8853 eV per atom



Number 6 is which compound? KSb5O13



E_form of number 8 (KSrTbSbO6)? -2.6497 eV per atom